First-principles (PBE-GGA) data for crystalline Nb6HSI9 at its relaxed geometry, as listed in the Materials Project database.

E_tot = -5.37 eV per atom
space group = P-1

Cell: 10.5507 10.7092 11.8385 Å, 105.22 105.39 113.78°
Sites, in units of the cell vectors:
Nb 0.0722 0.1986 0.4576
Nb 0.0737 0.1987 0.1715
Nb 0.1231 0.9352 0.1138
Nb 0.1228 0.9352 0.4140
Nb 0.1933 0.1200 0.9732
Nb 0.1942 0.1209 0.6761
Nb 0.8058 0.8791 0.3239
Nb 0.8067 0.8800 0.0268
Nb 0.8772 0.0648 0.5860
Nb 0.8769 0.0648 0.8862
Nb 0.9263 0.8013 0.8285
Nb 0.9278 0.8014 0.5424
H 0.0000 0.0000 0.0000
H 0.0000 0.0000 0.5000
S 0.0019 0.0067 0.2522
S 0.9981 0.9933 0.7478
I 0.1380 0.3719 0.0271
I 0.1397 0.3727 0.7158
I 0.1667 0.4565 0.3978
I 0.2383 0.8624 0.9290
I 0.2405 0.8654 0.6200
I 0.2857 0.8442 0.2810
I 0.3785 0.2458 0.5528
I 0.3812 0.2449 0.2425
I 0.4529 0.2784 0.9238
I 0.5471 0.7216 0.0762
I 0.6188 0.7551 0.7575
I 0.6215 0.7542 0.4472
I 0.7143 0.1558 0.7190
I 0.7595 0.1346 0.3800
I 0.7617 0.1376 0.0710
I 0.8333 0.5435 0.6022
I 0.8603 0.6273 0.2842
I 0.8620 0.6281 0.9729

=====

First-principles (PBE-GGA) data for crystalline Rb4NO at its relaxed geometry, as listed in the Materials Project database.

E_tot = -2.93 eV per atom
space group = P4/mmm

Cell: 4.9715 4.9715 7.0097 Å, 90.00 90.00 90.00°
Sites, in units of the cell vectors:
Rb 0.0000 0.5000 0.2449
Rb 0.0000 0.5000 0.7551
Rb 0.5000 0.0000 0.2449
Rb 0.5000 0.0000 0.7551
N 0.0000 0.0000 0.5000
O 0.5000 0.5000 0.0000